Entry 1:
Here is crystalline Ba3Cr2MoO9 at its relaxed geometry from the Materials Project. Energies are from GGA+U.

Structure (CIF):
```
data_Ba3Cr2MoO9
_chemical_formula_sum 'Ba6 Cr4 Mo2 O18'
_cell_length_a 5.7972
_cell_length_b 5.7972
_cell_length_c 14.2434
_cell_angle_alpha 90.00
_cell_angle_beta 90.00
_cell_angle_gamma 120.00
_space_group_name_H-M_alt 'P 63/m m c'
_space_group_IT_number 194
_space_group_name_Hall '-P 6c 2c'
loop_
_atom_site_label
_atom_site_type_symbol
_atom_site_fract_x
_atom_site_fract_y
_atom_site_fract_z
_atom_site_occupancy
Ba1 Ba 0.0000 0.0000 0.2500 1
Ba2 Ba 0.3333 0.6667 0.1022 1
Cr1 Cr 0.3333 0.6667 0.6594 1
Mo1 Mo 0.0000 0.0000 0.0000 1
O1 O 0.0307 0.5154 0.7500 1
O2 O 0.1604 0.3209 0.5783 1
```

- E_tot: -7.161 eV/atom
- Volume: 415 Å³/cell
- Total magnetization: 0.0 Bohr magnetons per cell

=====

Entry 2:
Here is crystalline Li6Fe3SbP6O24 at its relaxed geometry from the Materials Project. Energies are from GGA+U.

Structure (CIF):
```
data_Li6Fe3SbP6O24
_chemical_formula_sum 'Li6 Fe3 Sb1 P6 O24'
_cell_length_a 8.639
_cell_length_b 8.770
_cell_length_c 8.813
_cell_angle_alpha 60.84
_cell_angle_beta 60.99
_cell_angle_gamma 61.51
_space_group_name_H-M_alt 'P 1'
_space_group_IT_number 1
loop_
_space_group_symop_operation_xyz
'x,y,z'
loop_
_atom_site_label
_atom_site_type_symbol
_atom_site_fract_x
_atom_site_fract_y
_atom_site_fract_z
_atom_site_occupancy
Li1 Li 0.000 0.000 0.000 1
Li2 Li 0.086 0.843 0.516 1
Li3 Li 0.193 0.326 0.477 1
Li4 Li 0.386 0.703 0.172 1
Li5 Li 0.667 0.527 0.803 1
Li6 Li 0.829 0.185 0.653 1
Fe1 Fe 0.004 0.341 0.818 1
Fe2 Fe 0.503 0.837 0.305 1
Fe3 Fe 0.706 0.048 0.518 1
Sb1 Sb 0.211 0.537 0.016 1
P1 P 0.105 0.132 0.214 1
P2 P 0.309 0.930 0.701 1
P3 P 0.409 0.439 0.605 1
P4 P 0.604 0.230 0.119 1
P5 P 0.801 0.738 0.913 1
P6 P 0.905 0.648 0.410 1
O1 O 0.047 0.161 0.061 1
O2 O 0.106 0.588 0.256 1
O3 O 0.133 0.100 0.718 1
O4 O 0.168 0.298 0.167 1
O5 O 0.252 0.381 0.635 1
O6 O 0.260 0.779 0.907 1
O7 O 0.266 0.947 0.237 1
O8 O 0.328 0.871 0.554 1
O9 O 0.357 0.498 0.775 1
O10 O 0.412 0.612 0.430 1
O11 O 0.453 0.435 0.064 1
O12 O 0.488 0.948 0.675 1
O13 O 0.530 0.081 0.165 1
O14 O 0.595 0.289 0.597 1
O15 O 0.619 0.766 0.074 1
O16 O 0.634 0.220 0.278 1
O17 O 0.742 0.710 0.348 1
O18 O 0.771 0.236 0.936 1
O19 O 0.822 0.584 0.861 1
O20 O 0.823 0.912 0.746 1
O21 O 0.905 0.465 0.576 1
O22 O 0.915 0.799 0.441 1
O23 O 0.954 0.121 0.404 1
O24 O 0.968 0.680 0.982 1
```

- E_tot: -6.665 eV/atom
- Volume: 484 Å³/cell
- Total magnetization: 13.0 Bohr magnetons per cell

=====

Entry 3:
Here is crystalline Li9Mn2Co5O16 at its relaxed geometry from the Materials Project. Energies are from GGA+U.

Structure (CIF):
```
data_Li9Mn2Co5O16
_chemical_formula_sum 'Li9 Mn2 Co5 O16'
_cell_length_a 3.025
_cell_length_b 5.064
_cell_length_c 19.121
_cell_angle_alpha 91.95
_cell_angle_beta 93.82
_cell_angle_gamma 91.91
_space_group_name_H-M_alt 'P -1'
_space_group_IT_number 2
loop_
_space_group_symop_operation_xyz
'x,y,z'
'-x,-y,-z'
loop_
_atom_site_label
_atom_site_type_symbol
_atom_site_fract_x
_atom_site_fract_y
_atom_site_fract_z
_atom_site_occupancy
Li1 Li 0.000 0.000 0.000 1
Li2 Li 0.000 0.500 0.500 1
Li3 Li 0.004 0.249 0.749 1
Li4 Li 0.490 0.630 0.375 1
Li5 Li 0.499 0.875 0.125 1
Li6 Li 0.500 0.000 0.500 1
Mn1 Mn 0.497 0.247 0.250 1
Co1 Co 0.014 0.375 0.124 1
Co2 Co 0.014 0.875 0.619 1
Co3 Co 0.500 0.500 0.000 1
O1 O 0.001 0.156 0.570 1
O2 O 0.020 0.661 0.062 1
O3 O 0.026 0.082 0.186 1
O4 O 0.026 0.595 0.685 1
O5 O 0.453 0.791 0.938 1
O6 O 0.469 0.302 0.433 1
O7 O 0.478 0.541 0.187 1
O8 O 0.480 0.045 0.687 1
```

- E_tot: -5.782 eV/atom
- ΔE to the lowest computed polymorph: 72 meV/atom
- Volume: 292 Å³/cell
- Total magnetization: 18.0 Bohr magnetons per cell

=====

Entry 4:
Here is crystalline TiV3Sb2P6O24 at its relaxed geometry from the Materials Project. Energies are from GGA+U.

Structure (CIF):
```
data_TiV3Sb2P6O24
_chemical_formula_sum 'Ti3 V9 Sb6 P18 O72'
_cell_length_a 8.7190
_cell_length_b 8.7190
_cell_length_c 22.0460
_cell_angle_alpha 90.00
_cell_angle_beta 90.00
_cell_angle_gamma 120.00
_space_group_name_H-M_alt 'R 3'
_space_group_IT_number 146
_space_group_name_Hall 'R 3'
loop_
_atom_site_label
_atom_site_type_symbol
_atom_site_fract_x
_atom_site_fract_y
_atom_site_fract_z
_atom_site_occupancy
Ti1 Ti 0.0000 0.0000 0.0000 1
V1 V 0.0000 0.0000 0.2048 1
V2 V 0.0000 0.0000 0.4966 1
V3 V 0.0000 0.0000 0.7042 1
Sb1 Sb 0.0000 0.0000 0.3456 1
Sb2 Sb 0.0000 0.0000 0.8478 1
P1 P 0.0011 0.2910 0.1020 1
P2 P 0.0028 0.7110 0.6018 1
O1 O 0.0026 0.1892 0.0438 1
O2 O 0.0098 0.8056 0.5434 1
O3 O 0.0159 0.8315 0.2704 1
O4 O 0.0197 0.1858 0.7694 1
O5 O 0.1372 0.6708 0.3269 1
O6 O 0.1398 0.4666 0.8261 1
O7 O 0.1674 0.4778 0.0977 1
O8 O 0.1703 0.6850 0.6015 1
```

- E_tot: -7.388 eV/atom
- Volume: 1451 Å³/cell
- Total magnetization: 21.0 Bohr magnetons per cell

=====

Entry 5:
Here is crystalline LiFeP2HO8 at its relaxed geometry from the Materials Project. Energies are from GGA+U.

Structure (CIF):
```
data_LiFeP2HO8
_chemical_formula_sum 'Li2 Fe2 P4 H2 O16'
_cell_length_a 4.948
_cell_length_b 8.068
_cell_length_c 7.544
_cell_angle_alpha 90.00
_cell_angle_beta 104.70
_cell_angle_gamma 90.00
_space_group_name_H-M_alt 'P 1 21 1'
_space_group_IT_number 4
loop_
_space_group_symop_operation_xyz
'x,y,z'
'-x,y+1/2,-z'
loop_
_atom_site_label
_atom_site_type_symbol
_atom_site_fract_x
_atom_site_fract_y
_atom_site_fract_z
_atom_site_occupancy
Li1 Li 0.150 0.000 0.098 1
Fe1 Fe 0.253 0.626 0.255 1
P1 P 0.120 0.978 0.488 1
P2 P 0.377 0.285 0.008 1
H1 H 0.299 0.648 0.769 1
O1 O 0.006 0.567 0.696 1
O2 O 0.090 0.460 0.393 1
O3 O 0.128 0.178 0.907 1
O4 O 0.210 0.806 0.434 1
O5 O 0.271 0.454 0.059 1
O6 O 0.372 0.080 0.592 1
O7 O 0.402 0.806 0.102 1
O8 O 0.498 0.185 0.190 1
```

- E_tot: -6.554 eV/atom
- Volume: 291 Å³/cell
- Total magnetization: 8.0 Bohr magnetons per cell

=====

Entry 6:
Here is crystalline Mn5As2O12 at its relaxed geometry from the Materials Project. Energies are from GGA+U.

Structure (CIF):
```
data_Mn5As2O12
_chemical_formula_sum 'Mn20 As8 O48'
_cell_length_a 5.651
_cell_length_b 9.065
_cell_length_c 17.954
_cell_angle_alpha 90.00
_cell_angle_beta 90.00
_cell_angle_gamma 90.00
_space_group_name_H-M_alt 'P 21 21 21'
_space_group_IT_number 19
loop_
_space_group_symop_operation_xyz
'x,y,z'
'-x+1/2,-y,z+1/2'
'x+1/2,-y+1/2,-z'
'-x,y+1/2,-z+1/2'
loop_
_atom_site_label
_atom_site_type_symbol
_atom_site_fract_x
_atom_site_fract_y
_atom_site_fract_z
_atom_site_occupancy
Mn1 Mn 0.054 0.127 0.473 1
Mn2 Mn 0.058 0.373 0.623 1
Mn3 Mn 0.060 0.148 0.286 1
Mn4 Mn 0.097 0.541 0.797 1
Mn5 Mn 0.219 0.721 0.566 1
As1 As 0.104 0.950 0.126 1
As2 As 0.186 0.816 0.374 1
O1 O 0.035 0.244 0.858 1
O2 O 0.037 0.266 0.184 1
O3 O 0.070 0.767 0.461 1
O4 O 0.105 0.778 0.964 1
O5 O 0.106 0.758 0.122 1
O6 O 0.136 0.752 0.808 1
O7 O 0.181 0.508 0.379 1
O8 O 0.209 0.010 0.378 1
O9 O 0.210 0.971 0.562 1
O10 O 0.232 0.983 0.214 1
O11 O 0.241 0.436 0.715 1
O12 O 0.247 0.504 0.560 1
```

- E_tot: -6.980 eV/atom
- Volume: 920 Å³/cell
- Total magnetization: 84.2 Bohr magnetons per cell

=====

Entry 7:
Here is crystalline Mn2O3F at its relaxed geometry from the Materials Project. Energies are from GGA+U.

Structure (CIF):
```
data_Mn2O3F
_chemical_formula_sum 'Mn16 O24 F8'
_cell_length_a 6.042
_cell_length_b 13.487
_cell_length_c 6.330
_cell_angle_alpha 90.00
_cell_angle_beta 90.00
_cell_angle_gamma 90.00
_space_group_name_H-M_alt 'C m m m'
_space_group_IT_number 65
_space_group_name_Hall '-C 2 2'
loop_
_atom_site_label
_atom_site_type_symbol
_atom_site_fract_x
_atom_site_fract_y
_atom_site_fract_z
_atom_site_occupancy
Mn1 Mn 0.000 0.000 0.000 1
Mn2 Mn 0.000 0.243 0.500 1
Mn3 Mn 0.000 0.500 0.000 1
Mn4 Mn 0.238 0.000 0.500 1
Mn5 Mn 0.250 0.250 0.000 1
O1 O 0.000 0.092 0.500 1
O2 O 0.000 0.345 0.000 1
O3 O 0.249 0.000 0.195 1
O4 O 0.250 0.250 0.306 1
F1 F 0.000 0.141 0.000 1
F2 F 0.000 0.407 0.500 1
```

- E_tot: -6.891 eV/atom
- ΔE to the lowest computed polymorph: 21 meV/atom
- Volume: 516 Å³/cell
- Total magnetization: 56.0 Bohr magnetons per cell

=====

Entry 8:
Here is crystalline VTeO3 at its relaxed geometry from the Materials Project. Energies are from GGA+U.

Structure (CIF):
```
data_VTeO3
_chemical_formula_sum 'V1 Te1 O3'
_cell_length_a 3.929
_cell_length_b 3.929
_cell_length_c 3.929
_cell_angle_alpha 90.00
_cell_angle_beta 90.00
_cell_angle_gamma 90.00
_space_group_name_H-M_alt 'P m -3 m'
_space_group_IT_number 221
_space_group_name_Hall '-P 4 2 3'
loop_
_atom_site_label
_atom_site_type_symbol
_atom_site_fract_x
_atom_site_fract_y
_atom_site_fract_z
_atom_site_occupancy
V1 V 0.000 0.000 0.000 1
Te1 Te 0.500 0.500 0.500 1
O1 O 0.000 0.000 0.500 1
```

- E_tot: -6.008 eV/atom
- Volume: 61 Å³/cell
- Total magnetization: 1.8 Bohr magnetons per cell

=====

Entry 9:
Here is crystalline KV2AgO6 at its relaxed geometry from the Materials Project. Energies are from GGA+U.

Structure (CIF):
```
data_KV2AgO6
_chemical_formula_sum 'K4 V8 Ag4 O24'
_cell_length_a 10.940
_cell_length_b 10.115
_cell_length_c 5.905
_cell_angle_alpha 90.00
_cell_angle_beta 104.00
_cell_angle_gamma 90.00
_space_group_name_H-M_alt 'C 1 2/c 1'
_space_group_IT_number 15
loop_
_space_group_symop_operation_xyz
'x,y,z'
'-x,-y,-z'
'-x,y,-z+1/2'
'x,-y,z+1/2'
'x+1/2,y+1/2,z'
'-x+1/2,-y+1/2,-z'
'-x+1/2,y+1/2,-z+1/2'
'x+1/2,-y+1/2,z+1/2'
loop_
_atom_site_label
_atom_site_type_symbol
_atom_site_fract_x
_atom_site_fract_y
_atom_site_fract_z
_atom_site_occupancy
K1 K 0.000 0.196 0.250 1
V1 V 0.211 0.087 0.769 1
Ag1 Ag 0.000 0.407 0.750 1
O1 O 0.130 0.411 0.159 1
O2 O 0.152 0.239 0.701 1
O3 O 0.153 0.017 0.010 1
```

- E_tot: -6.522 eV/atom
- Volume: 634 Å³/cell
- Total magnetization: 0.0 Bohr magnetons per cell

=====

Entry 10:
Here is crystalline CrO at its relaxed geometry from the Materials Project. Energies are from GGA+U.

Structure (CIF):
```
data_CrO
_chemical_formula_sum 'Cr8 O8'
_cell_length_a 5.757
_cell_length_b 5.757
_cell_length_c 5.816
_cell_angle_alpha 90.00
_cell_angle_beta 90.00
_cell_angle_gamma 90.00
_space_group_name_H-M_alt 'P 42/m'
_space_group_IT_number 84
loop_
_space_group_symop_operation_xyz
'x,y,z'
'-x,-y,-z'
'-y,x,z+1/2'
'y,-x,-z+1/2'
'-x,-y,z'
'x,y,-z'
'y,-x,z+1/2'
'-y,x,-z+1/2'
loop_
_atom_site_label
_atom_site_type_symbol
_atom_site_fract_x
_atom_site_fract_y
_atom_site_fract_z
_atom_site_occupancy
Cr1 Cr 0.000 0.000 0.250 1
Cr2 Cr 0.000 0.500 0.000 1
Cr3 Cr 0.247 0.459 0.500 1
O1 O 0.191 0.693 0.236 1
```

- E_tot: -7.767 eV/atom
- Volume: 193 Å³/cell
- Total magnetization: 32.0 Bohr magnetons per cell

=====

Entry 11:
Here is crystalline Li2MnF4 at its relaxed geometry from the Materials Project. Energies are from GGA+U.

Structure (CIF):
```
data_Li2MnF4
_chemical_formula_sum 'Li8 Mn4 F16'
_cell_length_a 6.540
_cell_length_b 6.630
_cell_length_c 6.885
_cell_angle_alpha 90.00
_cell_angle_beta 90.00
_cell_angle_gamma 90.00
_space_group_name_H-M_alt 'I m m 2'
_space_group_IT_number 44
loop_
_space_group_symop_operation_xyz
'x,y,z'
'-x,-y,z'
'-x,y,z'
'x,-y,z'
'x+1/2,y+1/2,z+1/2'
'-x+1/2,-y+1/2,z+1/2'
'-x+1/2,y+1/2,z+1/2'
'x+1/2,-y+1/2,z+1/2'
loop_
_atom_site_label
_atom_site_type_symbol
_atom_site_fract_x
_atom_site_fract_y
_atom_site_fract_z
_atom_site_occupancy
Li1 Li 0.000 0.234 0.000 1
Li2 Li 0.238 0.500 0.750 1
Mn1 Mn 0.000 0.000 0.619 1
Mn2 Mn 0.000 0.500 0.346 1
F1 F 0.000 0.194 0.288 1
F2 F 0.000 0.294 0.723 1
F3 F 0.196 0.500 0.042 1
F4 F 0.205 0.000 0.966 1
```

- E_tot: -5.484 eV/atom
- ΔE to the lowest computed polymorph: 20 meV/atom
- Volume: 299 Å³/cell
- Total magnetization: 20.0 Bohr magnetons per cell

=====

Entry 12:
Here is crystalline LiAlCrO4 at its relaxed geometry from the Materials Project. Energies are from GGA+U.

Structure (CIF):
```
data_LiAlCrO4
_chemical_formula_sum 'Li4 Al4 Cr4 O16'
_cell_length_a 9.299
_cell_length_b 2.882
_cell_length_c 10.215
_cell_angle_alpha 90.00
_cell_angle_beta 90.00
_cell_angle_gamma 90.00
_space_group_name_H-M_alt 'P n m a'
_space_group_IT_number 62
loop_
_space_group_symop_operation_xyz
'x,y,z'
'-x,-y,-z'
'-x+1/2,-y,z+1/2'
'x+1/2,y,-z+1/2'
'x+1/2,-y+1/2,-z+1/2'
'-x+1/2,y+1/2,z+1/2'
'-x,y+1/2,-z'
'x,-y+1/2,z'
loop_
_atom_site_label
_atom_site_type_symbol
_atom_site_fract_x
_atom_site_fract_y
_atom_site_fract_z
_atom_site_occupancy
Li1 Li 0.100 0.250 0.119 1
Al1 Al 0.008 0.250 0.624 1
Cr1 Cr 0.230 0.750 0.842 1
O1 O 0.101 0.250 0.458 1
O2 O 0.106 0.750 0.699 1
O3 O 0.138 0.250 0.929 1
O4 O 0.147 0.750 0.254 1
```

- E_tot: -6.930 eV/atom
- ΔE to the lowest computed polymorph: 6 meV/atom
- Volume: 274 Å³/cell
- Total magnetization: 8.0 Bohr magnetons per cell